Arrangement P

Compound: Li3Mn2O5
Source: the Materials Project
Functional: GGA+U
Structure: relaxed

Structure (POSCAR):
```
Li3Mn2O5
1.0
2.961 0.100 -0.128
0.503 12.077 1.421
0.115 -0.059 5.089
Li O Mn
6 10 4
direct
0.484 0.008 0.506
0.102 0.799 0.692
0.698 0.601 0.908
0.400 0.200 0.800
0.900 0.200 0.300
0.315 0.392 0.094
0.181 0.700 0.063
0.509 0.910 0.880
0.847 0.309 0.928
0.998 0.900 0.328
0.460 0.088 0.131
0.952 0.091 0.672
0.340 0.312 0.469
0.619 0.700 0.537
0.802 0.500 0.272
0.291 0.490 0.720
0.980 0.008 0.991
0.216 0.598 0.397
0.820 0.392 0.609
0.584 0.802 0.203
```

Properties
space group	No. 2

=====

Arrangement Q

Compound: Li3Mn2O5
Source: the Materials Project
Functional: GGA+U
Structure: relaxed

Structure (POSCAR):
```
Li3Mn2O5
1.0
4.946 -0.093 1.047
-1.035 6.296 1.422
0.223 0.122 5.919
Li O Mn
6 10 4
direct
0.402 0.801 0.708
0.209 0.393 0.096
0.600 0.200 0.800
0.991 0.007 0.504
0.600 0.200 0.300
0.798 0.599 0.892
0.273 0.109 0.671
0.484 0.503 0.285
0.114 0.726 0.046
0.725 0.903 0.855
0.286 0.080 0.151
0.475 0.497 0.745
0.086 0.674 0.554
0.914 0.320 0.449
0.716 0.897 0.315
0.927 0.291 0.929
0.795 0.592 0.412
0.194 0.396 0.613
0.405 0.808 0.188
0.006 0.004 0.987
```

Properties
space group	No. 2

=====

arrangement Q is the most stable structure; the next one sits 1.5 kJ/mol of atoms above it.

=====

Arrangement P

Compound: Mo2P3O12
Source: the Materials Project
Functional: GGA+U
Structure: relaxed

Structure (POSCAR):
```
Mo2P3O12
1.0
-7.738 1.965 3.838
2.037 -5.142 6.740
7.252 4.368 12.386
O Mo P
48 8 12
direct
0.779 0.293 0.830
0.361 0.634 0.934
0.938 0.153 0.040
0.071 0.823 0.527
0.643 0.529 0.576
0.504 0.079 0.265
0.562 0.153 0.540
0.004 0.921 0.235
0.178 0.480 0.091
0.496 0.921 0.735
0.729 0.983 0.178
0.508 0.422 0.777
0.139 0.634 0.434
0.143 0.471 0.924
0.070 0.907 0.661
0.429 0.823 0.027
0.344 0.280 0.065
0.008 0.578 0.723
0.857 0.529 0.076
0.108 0.197 0.870
0.996 0.079 0.765
0.930 0.093 0.339
0.844 0.720 0.435
0.929 0.177 0.473
0.639 0.366 0.066
0.229 0.017 0.322
0.438 0.847 0.460
0.892 0.803 0.130
0.992 0.422 0.277
0.156 0.280 0.565
0.271 0.017 0.822
0.822 0.520 0.909
0.322 0.480 0.591
0.392 0.197 0.370
0.221 0.707 0.170
0.861 0.366 0.566
0.656 0.720 0.935
0.771 0.983 0.678
0.721 0.293 0.330
0.279 0.707 0.670
0.678 0.520 0.409
0.062 0.847 0.960
0.492 0.578 0.223
0.571 0.177 0.973
0.570 0.093 0.839
0.430 0.907 0.161
0.608 0.803 0.630
0.357 0.471 0.424
0.534 0.369 0.381
0.964 0.132 0.619
0.464 0.868 0.881
0.036 0.868 0.381
0.466 0.631 0.619
0.034 0.631 0.119
0.966 0.369 0.881
0.536 0.132 0.119
0.889 0.252 0.355
0.610 0.965 0.644
0.890 0.965 0.144
0.111 0.748 0.645
0.749 0.538 0.995
0.389 0.748 0.145
0.611 0.252 0.855
0.110 0.035 0.856
0.751 0.538 0.495
0.390 0.035 0.356
0.251 0.462 0.005
0.249 0.462 0.505
```

Properties
space group	No. 14

=====

Arrangement Q

Compound: Mo2P3O12
Source: the Materials Project
Functional: GGA+U
Structure: relaxed

Structure (POSCAR):
```
Mo2P3O12
1.0
8.927 0.000 0.000
0.000 9.139 0.000
0.000 0.000 12.499
O P Mo
48 12 8
direct
0.132 0.835 0.420
0.306 0.027 0.943
0.063 0.358 0.935
0.694 0.527 0.557
0.372 0.215 0.119
0.937 0.858 0.935
0.567 0.093 0.872
0.796 0.528 0.250
0.063 0.142 0.435
0.433 0.593 0.872
0.132 0.665 0.920
0.694 0.527 0.943
0.628 0.715 0.381
0.937 0.642 0.435
0.372 0.285 0.881
0.796 0.972 0.750
0.372 0.285 0.619
0.659 0.926 0.250
0.132 0.665 0.580
0.132 0.835 0.080
0.567 0.407 0.128
0.694 0.973 0.443
0.306 0.473 0.443
0.937 0.642 0.065
0.659 0.574 0.750
0.433 0.907 0.128
0.433 0.593 0.628
0.628 0.785 0.881
0.628 0.715 0.119
0.567 0.407 0.372
0.204 0.472 0.750
0.204 0.028 0.250
0.567 0.093 0.628
0.433 0.907 0.372
0.306 0.473 0.057
0.063 0.142 0.065
0.937 0.858 0.565
0.341 0.074 0.750
0.868 0.165 0.920
0.868 0.335 0.080
0.063 0.358 0.565
0.868 0.335 0.420
0.694 0.973 0.057
0.341 0.426 0.250
0.628 0.785 0.619
0.306 0.027 0.557
0.372 0.215 0.381
0.868 0.165 0.580
0.601 0.877 0.367
0.964 0.250 0.000
0.964 0.250 0.500
0.036 0.750 0.500
0.399 0.123 0.867
0.036 0.750 0.000
0.601 0.623 0.633
0.399 0.123 0.633
0.399 0.377 0.133
0.399 0.377 0.367
0.601 0.623 0.867
0.601 0.877 0.133
0.245 0.473 0.602
0.755 0.527 0.102
0.245 0.027 0.102
0.755 0.527 0.398
0.755 0.973 0.898
0.245 0.473 0.898
0.755 0.973 0.602
0.245 0.027 0.398
```

Properties
space group	No. 57

=====

arrangement P is the most stable structure; the next one sits 0.8 kJ/mol of atoms above it.

=====

Arrangement P

Compound: Li32Mn11Cr5O48
Source: the Materials Project
Functional: GGA+U
Structure: relaxed

Structure (POSCAR):
```
Li32Mn11Cr5O48
1.0
-1.373 -3.601 3.215
3.416 -2.137 2.973
-5.328 27.037 26.729
Li Mn O Cr
32 11 48 5
direct
0.505 0.000 0.500
0.129 0.374 0.375
0.664 0.161 0.000
0.836 0.341 0.500
0.085 0.094 0.250
0.436 0.067 0.313
0.752 0.751 0.250
0.997 0.500 0.000
0.879 0.623 0.625
0.373 0.123 0.125
0.210 0.962 0.625
0.285 0.536 0.875
0.628 0.877 0.875
0.338 0.840 0.000
0.785 0.038 0.375
0.415 0.405 0.250
0.563 0.938 0.688
0.911 0.909 0.750
0.060 0.435 0.188
0.185 0.318 0.563
0.033 0.792 0.125
0.161 0.658 0.500
0.251 0.253 0.750
0.461 0.713 0.375
0.687 0.810 0.062
0.535 0.289 0.625
0.588 0.587 0.750
0.719 0.462 0.125
0.963 0.213 0.875
0.313 0.188 0.937
0.939 0.564 0.813
0.813 0.688 0.437
0.145 0.020 0.437
0.855 0.978 0.563
0.895 0.270 0.688
0.480 0.355 0.437
0.606 0.230 0.812
0.230 0.604 0.688
0.979 0.855 0.937
0.105 0.729 0.313
0.020 0.146 0.062
0.729 0.104 0.188
0.645 0.520 0.937
0.182 0.959 0.535
0.074 0.789 0.215
0.538 0.321 0.535
0.464 0.679 0.466
0.679 0.821 0.966
0.911 0.946 0.660
0.575 0.930 0.784
0.431 0.070 0.216
0.319 0.181 0.034
0.788 0.070 0.285
0.964 0.179 0.965
0.214 0.929 0.716
0.929 0.571 0.716
0.929 0.212 0.785
0.822 0.036 0.465
0.303 0.839 0.909
0.684 0.463 0.034
0.039 0.821 0.034
0.694 0.806 0.159
0.572 0.286 0.715
0.088 0.053 0.340
0.557 0.941 0.591
0.160 0.696 0.410
0.803 0.339 0.409
0.414 0.447 0.160
0.806 0.691 0.341
0.306 0.196 0.841
0.287 0.567 0.784
0.441 0.412 0.341
0.446 0.053 0.409
0.553 0.589 0.660
0.433 0.708 0.285
0.838 0.303 0.591
0.945 0.554 0.909
0.196 0.303 0.659
0.589 0.552 0.841
0.940 0.912 0.841
0.322 0.536 0.965
0.827 0.680 0.534
0.718 0.424 0.216
0.693 0.167 0.090
0.661 0.196 0.910
0.050 0.445 0.091
0.189 0.662 0.591
0.337 0.806 0.090
0.048 0.094 0.159
0.180 0.321 0.466
0.076 0.430 0.284
0.394 0.767 0.188
0.767 0.402 0.312
0.269 0.900 0.812
0.357 0.474 0.062
0.516 0.652 0.563
```

Properties
space group	No. 1

=====

Arrangement Q

Compound: Li32Mn11Cr5O48
Source: the Materials Project
Functional: GGA+U
Structure: relaxed

Structure (POSCAR):
```
Li32Mn11Cr5O48
1.0
-1.518 0.899 4.682
2.841 -4.014 -0.969
31.211 21.783 5.231
Mn Li O Cr
11 32 48 5
direct
0.520 0.355 0.062
0.396 0.229 0.687
0.895 0.729 0.188
0.980 0.145 0.437
0.730 0.895 0.687
0.604 0.771 0.312
0.354 0.521 0.562
0.479 0.645 0.938
0.146 0.980 0.937
0.646 0.480 0.437
0.771 0.604 0.813
0.462 0.288 0.875
0.876 0.375 0.125
0.537 0.715 0.125
0.290 0.466 0.375
0.062 0.562 0.688
0.999 0.498 0.500
0.189 0.685 0.062
0.960 0.784 0.375
0.375 0.872 0.625
0.038 0.216 0.625
0.212 0.036 0.125
0.750 0.253 0.750
0.836 0.661 0.000
0.089 0.911 0.750
0.312 0.813 0.437
0.434 0.934 0.812
0.594 0.418 0.250
0.127 0.628 0.875
0.937 0.438 0.313
0.411 0.587 0.750
0.339 0.166 0.500
0.713 0.537 0.625
0.626 0.125 0.375
0.564 0.061 0.187
0.501 0.000 0.000
0.162 0.339 0.000
0.661 0.836 0.500
0.692 0.190 0.563
0.906 0.083 0.250
0.812 0.313 0.937
0.250 0.749 0.250
0.787 0.960 0.875
0.787 0.929 0.785
0.553 0.414 0.160
0.593 0.452 0.341
0.713 0.571 0.715
0.837 0.698 0.090
0.430 0.930 0.716
0.337 0.195 0.590
0.810 0.308 0.841
0.679 0.179 0.466
0.088 0.941 0.841
0.321 0.464 0.465
0.821 0.964 0.966
0.177 0.039 0.035
0.577 0.719 0.216
0.305 0.805 0.341
0.964 0.821 0.466
0.055 0.549 0.591
0.316 0.818 0.534
0.906 0.048 0.159
0.070 0.575 0.784
0.946 0.445 0.409
0.804 0.661 0.910
0.194 0.695 0.159
0.570 0.069 0.284
0.202 0.344 0.091
0.931 0.431 0.216
0.161 0.304 0.910
0.531 0.673 0.034
0.212 0.073 0.216
0.695 0.195 0.659
0.662 0.804 0.410
0.947 0.087 0.341
0.289 0.428 0.285
0.071 0.212 0.715
0.449 0.591 0.841
0.037 0.184 0.534
0.677 0.535 0.534
0.304 0.161 0.409
0.555 0.056 0.091
0.696 0.836 0.590
0.054 0.912 0.659
0.464 0.321 0.965
0.179 0.679 0.966
0.428 0.289 0.785
0.412 0.554 0.660
0.446 0.946 0.909
0.924 0.782 0.284
0.820 0.320 0.034
0.268 0.108 0.312
0.025 0.860 0.563
0.100 0.265 0.812
0.232 0.392 0.188
0.857 0.017 0.063
```

Properties
space group	No. 1

=====

arrangement Q is the most stable structure; the next one sits 1.2 kJ/mol of atoms above it.